[1]
Entry from the Materials Project: a relaxed NdZnGe crystal (GGA-PBE).

Unit cell a=4.288 b=4.288 c=16.662 alpha=90.00 beta=90.00 gamma=120.00
Positions (direct):
Nd: 0.000 0.000 0.000
Nd: 0.000 0.000 0.250
Nd: 0.000 0.000 0.500
Nd: 0.000 0.000 0.750
Zn: 0.333 0.667 0.138
Zn: 0.333 0.667 0.362
Zn: 0.667 0.333 0.638
Zn: 0.667 0.333 0.862
Ge: 0.333 0.667 0.618
Ge: 0.333 0.667 0.882
Ge: 0.667 0.333 0.118
Ge: 0.667 0.333 0.382

Formation energy from the elements, meV per atom: -693
Space-group type: P6_3/mmc, No. 194


[2]
Entry from the Materials Project: a relaxed Nd2Zn15Ge2 crystal (GGA-PBE).

Unit cell a=6.898 b=6.898 c=6.898 alpha=84.89 beta=84.89 gamma=84.89
Positions (direct):
Nd: 0.166 0.166 0.166
Nd: 0.834 0.834 0.834
Zn: 0.000 0.500 0.500
Zn: 0.148 0.148 0.671
Zn: 0.148 0.671 0.148
Zn: 0.191 0.500 0.809
Zn: 0.191 0.809 0.500
Zn: 0.329 0.852 0.852
Zn: 0.500 0.000 0.500
Zn: 0.500 0.191 0.809
Zn: 0.500 0.500 0.000
Zn: 0.500 0.809 0.191
Zn: 0.671 0.148 0.148
Zn: 0.809 0.191 0.500
Zn: 0.809 0.500 0.191
Zn: 0.852 0.329 0.852
Zn: 0.852 0.852 0.329
Ge: 0.401 0.401 0.401
Ge: 0.599 0.599 0.599

Formation energy from the elements, meV per atom: -222
Space-group type: R-3m, No. 166


[3]
Entry from the Materials Project: a relaxed Ni2Ge crystal (GGA-PBE).

Unit cell a=5.110 b=3.839 c=7.273 alpha=90.00 beta=90.00 gamma=90.00
Positions (direct):
Ni: 0.044 0.250 0.209
Ni: 0.173 0.250 0.560
Ni: 0.327 0.750 0.060
Ni: 0.456 0.750 0.709
Ni: 0.544 0.250 0.291
Ni: 0.673 0.250 0.940
Ni: 0.827 0.750 0.440
Ni: 0.956 0.750 0.791
Ge: 0.210 0.250 0.887
Ge: 0.290 0.750 0.387
Ge: 0.710 0.250 0.613
Ge: 0.790 0.750 0.113

Formation energy from the elements, meV per atom: -303
Space-group type: Pnma, No. 62


[4]
Entry from the Materials Project: a relaxed Ni19Ge12 crystal (GGA-PBE).

Unit cell a=6.723 b=6.723 c=10.063 alpha=90.06 beta=90.06 gamma=59.89
Positions (direct):
Ni: 0.000 0.000 0.000
Ni: 0.002 0.326 0.374
Ni: 0.005 0.314 0.626
Ni: 0.006 0.348 0.124
Ni: 0.008 0.661 0.752
Ni: 0.011 0.327 0.877
Ni: 0.320 0.668 0.374
Ni: 0.325 0.652 0.123
Ni: 0.332 0.680 0.626
Ni: 0.333 0.331 0.504
Ni: 0.339 0.992 0.248
Ni: 0.348 0.675 0.877
Ni: 0.652 0.994 0.876
Ni: 0.666 0.330 0.754
Ni: 0.669 0.667 0.496
Ni: 0.670 0.334 0.246
Ni: 0.673 0.989 0.123
Ni: 0.674 0.998 0.626
Ni: 0.686 0.995 0.374
Ge: 0.000 0.648 0.998
Ge: 0.003 0.697 0.502
Ge: 0.003 0.966 0.248
Ge: 0.034 0.997 0.752
Ge: 0.303 0.997 0.498
Ge: 0.308 0.357 0.252
Ge: 0.336 0.293 0.752
Ge: 0.352 0.000 0.002
Ge: 0.643 0.692 0.748
Ge: 0.649 0.351 0.000
Ge: 0.697 0.303 0.500
Ge: 0.707 0.664 0.248

Formation energy from the elements, meV per atom: -310
Space-group type: C2, No. 5


[5]
Entry from the Materials Project: a relaxed NiGe2 crystal (GGA-PBE).

Unit cell a=6.179 b=6.179 c=5.801 alpha=90.00 beta=90.00 gamma=56.02
Positions (direct):
Ni: 0.116 0.116 0.000
Ni: 0.384 0.384 0.500
Ni: 0.616 0.616 0.500
Ni: 0.884 0.884 0.000
Ge: 0.002 0.498 0.250
Ge: 0.154 0.846 0.657
Ge: 0.346 0.654 0.157
Ge: 0.498 0.002 0.750
Ge: 0.502 0.998 0.250
Ge: 0.654 0.346 0.843
Ge: 0.846 0.154 0.343
Ge: 0.998 0.502 0.750

Formation energy from the elements, meV per atom: -164
Space-group type: Cmce, No. 64


[6]
Entry from the Materials Project: a relaxed Ni2Ge crystal (GGA-PBE).

Unit cell a=4.009 b=4.009 c=5.093 alpha=90.00 beta=90.00 gamma=120.00
Positions (direct):
Ni: 0.000 0.000 0.000
Ni: 0.000 0.000 0.500
Ni: 0.333 0.667 0.250
Ni: 0.667 0.333 0.750
Ge: 0.333 0.667 0.750
Ge: 0.667 0.333 0.250

Formation energy from the elements, meV per atom: -275
Space-group type: P6_3/mmc, No. 194


[7]
Entry from the Materials Project: a relaxed Ni5Ge2 crystal (GGA-PBE).

Unit cell a=6.798 b=6.798 c=12.450 alpha=90.00 beta=90.00 gamma=120.00
Positions (direct):
Ni: 0.000 0.000 0.000
Ni: 0.000 0.000 0.500
Ni: 0.000 0.265 0.332
Ni: 0.000 0.308 0.124
Ni: 0.000 0.367 0.527
Ni: 0.000 0.374 0.736
Ni: 0.000 0.626 0.236
Ni: 0.000 0.633 0.027
Ni: 0.000 0.692 0.624
Ni: 0.000 0.735 0.832
Ni: 0.265 0.000 0.332
Ni: 0.265 0.265 0.832
Ni: 0.308 0.000 0.124
Ni: 0.308 0.308 0.624
Ni: 0.333 0.667 0.356
Ni: 0.333 0.667 0.856
Ni: 0.367 0.000 0.527
Ni: 0.367 0.367 0.027
Ni: 0.374 0.000 0.736
Ni: 0.374 0.374 0.236
Ni: 0.626 0.000 0.236
Ni: 0.626 0.626 0.736
Ni: 0.633 0.000 0.027
Ni: 0.633 0.633 0.527
Ni: 0.667 0.333 0.356
Ni: 0.667 0.333 0.856
Ni: 0.692 0.000 0.624
Ni: 0.692 0.692 0.124
Ni: 0.735 0.000 0.832
Ni: 0.735 0.735 0.332
Ge: 0.000 0.000 0.204
Ge: 0.000 0.000 0.704
Ge: 0.000 0.334 0.931
Ge: 0.000 0.666 0.431
Ge: 0.333 0.667 0.149
Ge: 0.333 0.667 0.649
Ge: 0.334 0.000 0.931
Ge: 0.334 0.334 0.431
Ge: 0.666 0.000 0.431
Ge: 0.666 0.666 0.931
Ge: 0.667 0.333 0.149
Ge: 0.667 0.333 0.649

Formation energy from the elements, meV per atom: -279
Space-group type: P6_3cm, No. 185


[8]
Entry from the Materials Project: a relaxed NpNi2Ge2 crystal (GGA-PBE).

Unit cell a=5.743 b=5.743 c=5.743 alpha=138.81 beta=138.81 gamma=59.66
Positions (direct):
Np: 0.000 0.000 0.000
Ni: 0.250 0.750 0.500
Ni: 0.750 0.250 0.500
Ge: 0.373 0.373 0.000
Ge: 0.627 0.627 0.000

Formation energy from the elements, meV per atom: -362
Space-group type: I4/mmm, No. 139


Number 1: electronic total energy -12.7 eV per formula unit. Number 2: electronic total energy -41.9 eV per formula unit. Number 3: electronic total energy -17.1 eV per formula unit. Number 4: electronic total energy -174.9 eV per formula unit. Number 5: electronic total energy -15.5 eV per formula unit. Number 6: electronic total energy -17.0 eV per formula unit. Number 7: electronic total energy -40.1 eV per formula unit. Number 8: electronic total energy -35.6 eV per formula unit.